Material: Cs2KAgF6
Method: DFT, PBE
State: optimized geometry

Cell and atoms, written as POSCAR:
```
Cs2KAgF6
1.0
4.7789 2.0626 4.1419
3.1620 -4.3843 3.8764
6.3540 -1.5433 -1.2213
F Cs K Ag
6 2 1 1
Cartesian
9.3313 -0.5891 3.1366
8.4453 -4.1217 2.9912
5.8496 0.2566 3.8058
7.5822 -2.1458 5.9300
4.9636 -3.2760 3.6604
6.7127 -1.7193 0.8670
3.5737 -0.9663 1.6992
10.7212 -2.8988 5.0977
7.1474 -1.9325 3.3985
0.0000 0.0000 0.0000
```

E_form ... -2317 kJ/mol of formula units
Magnetization ... 2.00 μB per formula unit
Raw total energy ... -3.8460 eV per atom